Below is a geometry-optimized TmCo3P2 structure, with properties calculated at the PBE-GGA level.

Calculated values
The formation energy comes out at -0.951 eV/atom.

Cell: 3.6553 10.4545 12.0848 Å, 90.00 90.00 90.00°
With the nearest neighbours (Å) after each atom.
Positions (direct):
1 Co 0.0000 0.3788 0.2909  4 P 2.24-2.32
2 Co 0.5000 0.6664 0.9941  4 P 2.21-2.29
3 Co 0.5000 0.5000 0.7028  3 P 2.16-2.22
4 Co 0.0000 0.0000 0.8404  5 P 2.25-2.51
5 Co 0.5000 0.8788 0.7091  4 P 2.24-2.32
6 Co 0.0000 0.7973 0.5690  4 P 2.23-2.36
7 Co 0.5000 0.3336 0.9941  4 P 2.21-2.29
8 Co 0.0000 0.0000 0.2972  3 P 2.16-2.22
9 Co 0.0000 0.1664 0.0059  4 P 2.21-2.29
10 Co 0.5000 0.1212 0.7091  4 P 2.24-2.32
11 Co 0.5000 0.7027 0.4310  4 P 2.23-2.36
12 Co 0.5000 0.5000 0.1596  5 P 2.25-2.51
13 Co 0.0000 0.5000 0.9855  4 P 2.17-2.22
14 Co 0.5000 0.0000 0.0145  4 P 2.17-2.22
15 Co 0.0000 0.2027 0.5690  4 P 2.23-2.36
16 Co 0.0000 0.6212 0.2909  4 P 2.24-2.32
17 Co 0.0000 0.8336 0.0059  4 P 2.21-2.29
18 Co 0.5000 0.2973 0.4310  4 P 2.23-2.36
19 P 0.5000 0.3120 0.6168  5 Co 2.22-2.29
20 P 0.5000 0.1525 0.8924  5 Co 2.17-2.29
21 P 0.0000 0.1880 0.3832  5 Co 2.22-2.29
22 P 0.5000 0.8475 0.8924  5 Co 2.17-2.29
23 P 0.5000 0.5000 0.3455  7 Co 2.25-2.36
24 P 0.0000 0.0000 0.6545  7 Co 2.25-2.36
25 P 0.0000 0.6525 0.1076  5 Co 2.17-2.29
26 P 0.5000 0.6880 0.6168  5 Co 2.22-2.29
27 P 0.0000 0.0000 0.1183  5 Co 2.16-2.22
28 P 0.0000 0.3475 0.1076  5 Co 2.17-2.29
29 P 0.0000 0.8120 0.3832  5 Co 2.22-2.29
30 P 0.5000 0.5000 0.8817  5 Co 2.16-2.22
31 Tm 0.5000 0.8173 0.2058  6 P 2.78-2.85, 9 Co 2.87-3.03
32 Tm 0.0000 0.3173 0.7942  6 P 2.78-2.85, 9 Co 2.87-3.03
33 Tm 0.5000 0.1827 0.2058  6 P 2.78-2.85, 9 Co 2.87-3.03
34 Tm 0.0000 0.5000 0.5231  6 P 2.82-2.91, 8 Co 2.84-3.08
35 Tm 0.5000 0.0000 0.4769  6 P 2.82-2.91, 8 Co 2.84-3.08
36 Tm 0.0000 0.6827 0.7942  6 P 2.78-2.85, 9 Co 2.87-3.03

***

Below is a geometry-optimized CeSe2 structure, with properties calculated at the PBE-GGA level.

Calculated values
The formation energy comes out at -1.393 eV/atom.

Cell: 14.7752 14.7752 14.7752 Å, 90.00 90.00 90.00°
With the nearest neighbours (Å) after each atom.
Positions (direct):
1 Se 0.5000 0.2457 0.5000  2 Ce 2.72
2 Se 0.5000 0.0000 0.3355  2 Ce 2.73
3 Se 0.0000 0.6645 0.5000  2 Ce 2.73
4 Se 0.5000 0.5000 0.2457  2 Ce 2.72
5 Se 0.1898 0.4199 0.7520  2 Ce 2.73
6 Se 0.2457 0.5000 0.5000  2 Ce 2.72
7 Se 0.4199 0.7520 0.1898  2 Ce 2.73
8 Se 0.7520 0.1898 0.4199  2 Ce 2.73
9 Se 0.2480 0.1898 0.5801  2 Ce 2.73
10 Se 0.8102 0.5801 0.7520  2 Ce 2.73
11 Se 0.7543 0.5000 0.5000  2 Ce 2.72
12 Se 0.3355 0.5000 0.0000  2 Ce 2.73
13 Se 0.4199 0.2480 0.8102  2 Ce 2.73
14 Se 0.5000 0.5000 0.7543  2 Ce 2.72
15 Se 0.2480 0.8102 0.4199  2 Ce 2.73
16 Se 0.7520 0.8102 0.5801  2 Ce 2.73
17 Se 0.6645 0.5000 0.0000  2 Ce 2.73
18 Se 0.5000 0.0000 0.6645  2 Ce 2.73
19 Se 0.5801 0.2480 0.1898  2 Ce 2.73
20 Se 0.0000 0.3355 0.5000  2 Ce 2.73
21 Se 0.1898 0.5801 0.2480  2 Ce 2.73
22 Se 0.8102 0.4199 0.2480  2 Ce 2.73
23 Se 0.5801 0.7520 0.8102  2 Ce 2.73
24 Se 0.5000 0.7543 0.5000  2 Ce 2.72
25 Ce 0.6448 0.4193 0.1652  4 Se 2.72-2.73
26 Ce 0.4193 0.8348 0.3552  4 Se 2.72-2.73
27 Ce 0.8348 0.3552 0.4193  4 Se 2.72-2.73
28 Ce 0.4193 0.1652 0.6448  4 Se 2.72-2.73
29 Ce 0.1652 0.6448 0.4193  4 Se 2.72-2.73
30 Ce 0.3552 0.4193 0.8348  4 Se 2.72-2.73
31 Ce 0.1652 0.3552 0.5807  4 Se 2.72-2.73
32 Ce 0.8348 0.6448 0.5807  4 Se 2.72-2.73
33 Ce 0.5807 0.8348 0.6448  4 Se 2.72-2.73
34 Ce 0.3552 0.5807 0.1652  4 Se 2.72-2.73
35 Ce 0.5807 0.1652 0.3552  4 Se 2.72-2.73
36 Ce 0.6448 0.5807 0.8348  4 Se 2.72-2.73

***

Below is a geometry-optimized CaGdZn2 structure, with properties calculated at the PBE-GGA level.

Calculated values
The formation energy comes out at -0.298 eV/atom.

Cell: 5.1067 5.1067 5.1067 Å, 60.00 60.00 60.00°
With the nearest neighbours (Å) after each atom.
Positions (direct):
1 Zn 0.7500 0.7500 0.7500  4 Gd 3.13, 4 Ca 3.13
2 Zn 0.2500 0.2500 0.2500  4 Gd 3.13, 4 Ca 3.13
3 Gd 0.5000 0.5000 0.5000  8 Zn 3.13
4 Ca 0.0000 0.0000 0.0000  8 Zn 3.13

***

Below is a geometry-optimized HfMg6Ti structure, with properties calculated at the PBE-GGA level.

Calculated values
The energy above the most stable polymorph in this dataset is 0.0409 eV per atom. The formation energy comes out at 0.180 eV/atom.

Cell: 5.0717 6.2261 11.0628 Å, 90.00 90.00 90.00°
With the nearest neighbours (Å) after each atom.
Positions (direct):
1 Ti 0.5000 0.5000 0.6663  10 Mg 3.09-3.19, 2 Hf 3.11
2 Ti 0.5000 0.0000 0.1663  10 Mg 3.09-3.19, 2 Hf 3.11
3 Hf 0.5000 0.5000 0.1662  10 Mg 3.11-3.18, 2 Ti 3.11
4 Hf 0.5000 0.0000 0.6662  10 Mg 3.11-3.18, 2 Ti 3.11
5 Mg 0.0000 0.2469 0.0877  8 Mg 3.06-3.28, 2 Ti 3.09, 2 Hf 3.11
6 Mg 0.5000 0.7514 0.9178  8 Mg 3.10-3.16, 2 Ti 3.15-3.19, 2 Hf 3.16-3.18
7 Mg 0.0000 0.7469 0.5877  8 Mg 3.06-3.28, 2 Ti 3.09, 2 Hf 3.11
8 Mg 0.0000 0.0000 0.8294  10 Mg 3.10-3.25, 2 Hf 3.11
9 Mg 0.5000 0.2514 0.4178  8 Mg 3.10-3.16, 2 Ti 3.15-3.19, 2 Hf 3.16-3.18
10 Mg 0.0000 0.5000 0.3294  10 Mg 3.10-3.25, 2 Hf 3.11
11 Mg 0.0000 0.0000 0.3271  10 Mg 3.06-3.28, 2 Ti 3.10
12 Mg 0.0000 0.2531 0.5877  8 Mg 3.06-3.28, 2 Ti 3.09, 2 Hf 3.11
13 Mg 0.5000 0.2486 0.9178  8 Mg 3.10-3.16, 2 Ti 3.15-3.19, 2 Hf 3.16-3.18
14 Mg 0.5000 0.7486 0.4178  8 Mg 3.10-3.16, 2 Ti 3.15-3.19, 2 Hf 3.16-3.18
15 Mg 0.0000 0.7531 0.0877  8 Mg 3.06-3.28, 2 Ti 3.09, 2 Hf 3.11
16 Mg 0.0000 0.5000 0.8271  10 Mg 3.06-3.28, 2 Ti 3.10

***

Below is a geometry-optimized Ta2Au structure, with properties calculated at the PBE-GGA level.

Calculated values
The formation energy comes out at -0.042 eV/atom.

Cell: 10.1148 10.1148 5.2353 Å, 90.00 90.00 90.00°
With the nearest neighbours (Å) after each atom.
Positions (direct):
1 Ta 0.6833 0.3167 0.2502  2 Ta 2.62, 2 Au 2.92
2 Ta 0.4653 0.1290 0.0000  2 Ta 2.70-2.80, 4 Au 2.79-2.84
3 Ta 0.8167 0.8167 0.7502  2 Ta 2.62, 2 Au 2.92
4 Ta 0.8710 0.5347 0.0000  2 Ta 2.70-2.80, 4 Au 2.79-2.84
5 Ta 0.3967 0.3967 0.0000  3 Ta 2.80-2.96, 6 Au 3.01-3.12
6 Ta 0.6033 0.6033 0.0000  3 Ta 2.80-2.96, 6 Au 3.01-3.12
7 Ta 0.0347 0.6290 0.5000  2 Ta 2.70-2.80, 4 Au 2.79-2.84
8 Ta 0.6833 0.3167 0.7498  2 Ta 2.62, 2 Au 2.92
9 Ta 0.6290 0.0347 0.5000  2 Ta 2.70-2.80, 4 Au 2.79-2.84
10 Ta 0.8967 0.1033 0.5000  3 Ta 2.80-2.96, 6 Au 3.01-3.12
11 Ta 0.5347 0.8710 0.0000  2 Ta 2.70-2.80, 4 Au 2.79-2.84
12 Ta 0.3167 0.6833 0.2502  2 Ta 2.62, 2 Au 2.92
13 Ta 0.3710 0.9653 0.5000  2 Ta 2.70-2.80, 4 Au 2.79-2.84
14 Ta 0.1833 0.1833 0.2498  2 Ta 2.62, 2 Au 2.92
15 Ta 0.1833 0.1833 0.7502  2 Ta 2.62, 2 Au 2.92
16 Ta 0.9653 0.3710 0.5000  2 Ta 2.70-2.80, 4 Au 2.79-2.84
17 Ta 0.8167 0.8167 0.2498  2 Ta 2.62, 2 Au 2.92
18 Ta 0.1290 0.4653 0.0000  2 Ta 2.70-2.80, 4 Au 2.79-2.84
19 Ta 0.1033 0.8967 0.5000  3 Ta 2.80-2.96, 6 Au 3.01-3.12
20 Ta 0.3167 0.6833 0.7498  2 Ta 2.62, 2 Au 2.92
21 Au 0.7671 0.5633 0.5000  2 Au 2.78-2.91, 8 Ta 2.79-2.94
22 Au 0.0000 0.0000 0.0000  4 Au 2.78, 8 Ta 2.93-3.01
23 Au 0.4367 0.2329 0.5000  2 Au 2.78-2.91, 8 Ta 2.79-2.94
24 Au 0.2671 0.9367 0.0000  2 Au 2.78-2.91, 8 Ta 2.79-2.94
25 Au 0.5633 0.7671 0.5000  2 Au 2.78-2.91, 8 Ta 2.79-2.94
26 Au 0.9367 0.2671 0.0000  2 Au 2.78-2.91, 8 Ta 2.79-2.94
27 Au 0.7329 0.0633 0.0000  2 Au 2.78-2.91, 8 Ta 2.79-2.94
28 Au 0.5000 0.5000 0.5000  4 Au 2.78, 8 Ta 2.93-3.01
29 Au 0.2329 0.4367 0.5000  2 Au 2.78-2.91, 8 Ta 2.79-2.94
30 Au 0.0633 0.7329 0.0000  2 Au 2.78-2.91, 8 Ta 2.79-2.94

***

Below is a geometry-optimized NaCeH2S2O9 structure, with properties calculated at the PBE-GGA level.

Calculated values
The formation energy comes out at -2.248 eV/atom.

Cell: 7.1656 7.1656 12.7767 Å, 90.00 90.00 120.00°
With the nearest neighbours (Å) after each atom.
Positions (direct):
1 O 0.1226 0.6218 0.1571  1 S 1.50
2 O 0.6198 0.1191 0.8431  1 S 1.50
3 O 0.4992 0.8774 0.4905  1 S 1.50
4 O 0.1341 0.6269 0.6573  1 S 1.49
5 O 0.4992 0.3802 0.1764  1 S 1.50
6 O 0.8693 0.2454 0.1479  1 S 1.49
7 O 0.1337 0.3768 0.5251  1 S 1.49
8 O 0.1022 0.0125 0.6726  2 H 0.98
9 O 0.3731 0.5072 0.3239  1 S 1.49
10 O 0.3782 0.5008 0.8238  1 S 1.50
11 O 0.9875 0.0896 0.3393  2 H 0.98
12 O 0.5959 0.7484 0.6820  1 S 1.49
13 O 0.4120 0.1529 0.9883  1 S 1.49
14 O 0.6189 0.1344 0.3440  1 S 1.49
15 O 0.6232 0.7569 0.1918  1 S 1.49
16 O 0.8809 0.5008 0.5098  1 S 1.50
17 O 0.8656 0.4845 0.0107  1 S 1.49
18 O 0.2516 0.8475 0.3486  1 S 1.49
19 O 0.7409 0.5880 0.3216  1 S 1.49
20 O 0.2431 0.8663 0.8585  1 S 1.49
21 O 0.8471 0.2591 0.6549  1 S 1.49
22 O 0.1525 0.4041 0.0153  1 S 1.49
23 O 0.7546 0.6239 0.8145  1 S 1.49
24 O 0.9104 0.8978 0.0060  2 H 0.98
25 O 0.3761 0.1307 0.4812  1 S 1.49
26 O 0.4928 0.8659 0.9906  1 S 1.49
27 O 0.5155 0.3811 0.6774  1 S 1.49
28 S 0.0027 0.4400 0.0820  4 O 1.49-1.50
29 S 0.9989 0.4411 0.5873  4 O 1.49-1.50
30 S 0.5600 0.5627 0.7486  4 O 1.49-1.50
31 S 0.4373 0.9973 0.4153  4 O 1.49-1.50
32 S 0.4422 0.0011 0.9206  4 O 1.49-1.50
33 S 0.5589 0.5578 0.2540  4 O 1.49-1.50
34 Ce 0.4416 0.0013 0.6673  9 O 2.47-2.75
35 Ce 0.9987 0.4402 0.3339  9 O 2.47-2.75
36 Ce 0.5598 0.5584 0.0006  9 O 2.47-2.75
37 H 0.9650 0.9053 0.7033  1 O 0.98
38 H 0.9404 0.0350 0.0366  1 O 0.98
39 H 0.0347 0.9232 0.9637  1 O 0.98
40 H 0.0768 0.1115 0.6304  1 O 0.98
41 H 0.8885 0.9653 0.2970  1 O 0.98
42 H 0.0947 0.0596 0.3699  1 O 0.98
43 Na 0.5250 0.5257 0.5007  8 O 2.47-2.71
44 Na 0.0007 0.4750 0.8340  8 O 2.47-2.71
45 Na 0.4743 0.9993 0.1674  8 O 2.47-2.71

***

Below is a geometry-optimized CdSnN2 structure, with properties calculated at the PBE-GGA level.

Calculated values
The formation energy comes out at 0.056 eV/atom.

Cell: 6.1345 7.2559 5.8151 Å, 90.00 90.00 90.00°
With the nearest neighbours (Å) after each atom.
Positions (direct):
1 N 0.4020 0.1407 0.8939  2 Sn 2.09-2.10, 2 Cd 2.30-2.31
2 N 0.4348 0.6094 0.8588  2 Sn 2.08-2.09, 2 Cd 2.28-2.30
3 N 0.9020 0.3593 0.8939  2 Sn 2.09-2.10, 2 Cd 2.30-2.31
4 N 0.0980 0.6407 0.3939  2 Sn 2.09-2.10, 2 Cd 2.30-2.31
5 N 0.0652 0.1094 0.3588  2 Sn 2.08-2.09, 2 Cd 2.28-2.30
6 N 0.9348 0.8906 0.8588  2 Sn 2.08-2.09, 2 Cd 2.28-2.30
7 N 0.5980 0.8593 0.3939  2 Sn 2.09-2.10, 2 Cd 2.30-2.31
8 N 0.5652 0.3906 0.3588  2 Sn 2.08-2.09, 2 Cd 2.28-2.30
9 Sn 0.0765 0.1258 0.9997  4 N 2.08-2.10
10 Sn 0.5765 0.3742 0.9997  4 N 2.08-2.10
11 Sn 0.4235 0.6258 0.4997  4 N 2.08-2.10
12 Sn 0.9235 0.8742 0.4997  4 N 2.08-2.10
13 Cd 0.0834 0.6242 0.9977  4 N 2.28-2.31
14 Cd 0.9166 0.3758 0.4977  4 N 2.28-2.31
15 Cd 0.4166 0.1242 0.4977  4 N 2.28-2.31
16 Cd 0.5834 0.8758 0.9977  4 N 2.28-2.31

***

Below is a geometry-optimized Na3InBr6 structure, with properties calculated at the PBE-GGA level.

Calculated values
The formation energy comes out at -1.444 eV/atom.

Cell: 7.8538 7.8538 7.8538 Å, 60.00 60.00 60.00°
With the nearest neighbours (Å) after each atom.
Positions (direct):
1 Br 0.2422 0.7578 0.7578  1 In 2.69, 1 Na 2.86
2 Br 0.7578 0.7578 0.2422  1 In 2.69, 1 Na 2.86
3 Br 0.7578 0.2422 0.2422  1 In 2.69, 1 Na 2.86
4 Br 0.2422 0.2422 0.7578  1 In 2.69, 1 Na 2.86
5 Br 0.2422 0.7578 0.2422  1 In 2.69, 1 Na 2.86
6 Br 0.7578 0.2422 0.7578  1 In 2.69, 1 Na 2.86
7 Na 0.2500 0.2500 0.2500  12 Br 3.93
8 Na 0.5000 0.5000 0.5000  6 Br 2.86
9 Na 0.7500 0.7500 0.7500  12 Br 3.93
10 In 0.0000 0.0000 0.0000  6 Br 2.69

***

Please write out number 1 again, unchanged.
Below is a geometry-optimized TmCo3P2 structure, with properties calculated at the PBE-GGA level.

Calculated values
The formation energy comes out at -0.951 eV/atom.

Cell: 3.6553 10.4545 12.0848 Å, 90.00 90.00 90.00°
With the nearest neighbours (Å) after each atom.
Positions (direct):
1 Co 0.0000 0.3788 0.2909  4 P 2.24-2.32
2 Co 0.5000 0.6664 0.9941  4 P 2.21-2.29
3 Co 0.5000 0.5000 0.7028  3 P 2.16-2.22
4 Co 0.0000 0.0000 0.8404  5 P 2.25-2.51
5 Co 0.5000 0.8788 0.7091  4 P 2.24-2.32
6 Co 0.0000 0.7973 0.5690  4 P 2.23-2.36
7 Co 0.5000 0.3336 0.9941  4 P 2.21-2.29
8 Co 0.0000 0.0000 0.2972  3 P 2.16-2.22
9 Co 0.0000 0.1664 0.0059  4 P 2.21-2.29
10 Co 0.5000 0.1212 0.7091  4 P 2.24-2.32
11 Co 0.5000 0.7027 0.4310  4 P 2.23-2.36
12 Co 0.5000 0.5000 0.1596  5 P 2.25-2.51
13 Co 0.0000 0.5000 0.9855  4 P 2.17-2.22
14 Co 0.5000 0.0000 0.0145  4 P 2.17-2.22
15 Co 0.0000 0.2027 0.5690  4 P 2.23-2.36
16 Co 0.0000 0.6212 0.2909  4 P 2.24-2.32
17 Co 0.0000 0.8336 0.0059  4 P 2.21-2.29
18 Co 0.5000 0.2973 0.4310  4 P 2.23-2.36
19 P 0.5000 0.3120 0.6168  5 Co 2.22-2.29
20 P 0.5000 0.1525 0.8924  5 Co 2.17-2.29
21 P 0.0000 0.1880 0.3832  5 Co 2.22-2.29
22 P 0.5000 0.8475 0.8924  5 Co 2.17-2.29
23 P 0.5000 0.5000 0.3455  7 Co 2.25-2.36
24 P 0.0000 0.0000 0.6545  7 Co 2.25-2.36
25 P 0.0000 0.6525 0.1076  5 Co 2.17-2.29
26 P 0.5000 0.6880 0.6168  5 Co 2.22-2.29
27 P 0.0000 0.0000 0.1183  5 Co 2.16-2.22
28 P 0.0000 0.3475 0.1076  5 Co 2.17-2.29
29 P 0.0000 0.8120 0.3832  5 Co 2.22-2.29
30 P 0.5000 0.5000 0.8817  5 Co 2.16-2.22
31 Tm 0.5000 0.8173 0.2058  6 P 2.78-2.85, 9 Co 2.87-3.03
32 Tm 0.0000 0.3173 0.7942  6 P 2.78-2.85, 9 Co 2.87-3.03
33 Tm 0.5000 0.1827 0.2058  6 P 2.78-2.85, 9 Co 2.87-3.03
34 Tm 0.0000 0.5000 0.5231  6 P 2.82-2.91, 8 Co 2.84-3.08
35 Tm 0.5000 0.0000 0.4769  6 P 2.82-2.91, 8 Co 2.84-3.08
36 Tm 0.0000 0.6827 0.7942  6 P 2.78-2.85, 9 Co 2.87-3.03